A geometry-optimized Ta22Cu3S36 structure, computed with PBE-GGA.

As for the formation energy: -78.104 eV per formula unit. Its total magnetization is 1.828 μB per cell. For the uncorrected energy, the calculation gives -7.903 eV per atom.

abc: 26.3911 3.3313 28.2361
angles: 90.00 113.43 90.00
Last column: nearest neighbours and their distance in Å.
Space group Cm (No. 8)
Inequivalent atoms, fractional coordinates:
Ta 0.0000 0.0000 0.0000 [2 per cell]  6 S 2.46-2.50
Ta 0.0031 0.0000 0.7623 [2 per cell]  6 S 2.47-2.58
Ta 0.0170 0.0000 0.5375 [2 per cell]  6 S 2.47-2.57
Ta 0.0558 0.5000 0.1113 [2 per cell]  6 S 2.46-2.51
Ta 0.0725 0.5000 0.6479 [2 per cell]  6 S 2.46-2.58
Ta 0.1122 0.0000 0.2249 [2 per cell]  6 S 2.45-2.50
Ta 0.1263 0.0000 0.7594 [2 per cell]  6 S 2.45-2.56
Ta 0.1665 0.5000 0.3328 [2 per cell]  6 S 2.47-2.55
Ta 0.1810 0.5000 0.8722 [2 per cell]  6 S 2.47-2.54
Ta 0.2214 0.0000 0.4460 [2 per cell]  6 S 2.46-2.56
Ta 0.2354 0.0000 0.9809 [2 per cell]  6 S 2.44-2.53
Ta 0.2753 0.5000 0.5575 [2 per cell]  6 S 2.46-2.58
Ta 0.2911 0.5000 0.0934 [2 per cell]  6 S 2.46-2.52
Ta 0.3309 0.0000 0.6679 [2 per cell]  6 S 2.47-2.57
Ta 0.3447 0.0000 0.4431 [2 per cell]  6 S 2.47-2.58
Ta 0.3477 0.0000 0.2058 [2 per cell]  6 S 2.46-2.52
Ta 0.3864 0.5000 0.7785 [2 per cell]  6 S 2.45-2.53
Ta 0.3917 0.5000 0.5396 [2 per cell]  6 S 2.46-2.65
Ta 0.4033 0.5000 0.3187 [2 per cell]  6 S 2.47-2.51
Ta 0.4443 0.0000 0.8867 [2 per cell]  6 S 2.47-2.51
Ta 0.4561 0.0000 0.6657 [2 per cell]  6 S 2.46-2.65
Ta 0.4614 0.0000 0.4269 [2 per cell]  6 S 2.44-2.53
Cu 0.3417 0.0000 0.9716 [2 per cell]  4 S 2.23-2.35
Cu 0.3987 0.5000 0.0852 [2 per cell]  4 S 2.21-2.35
Cu 0.4548 0.0000 0.1983 [2 per cell]  4 S 2.22-2.36
S 0.0325 0.0000 0.6894 [2 per cell]  6 Ta 2.47-2.50
S 0.0354 0.5000 0.1906 [2 per cell]  1 Cu 2.22
S 0.0373 0.0000 0.4593 [2 per cell]  3 Ta 2.47-2.48
S 0.0369 0.5000 0.9577 [2 per cell]  3 Ta 2.46-2.47
S 0.0838 0.5000 0.8020 [2 per cell]  5 Ta 2.54-2.58
S 0.0906 0.0000 0.3021 [2 per cell]  3 Ta 2.46-2.48
S 0.0922 0.5000 0.5698 [2 per cell]  3 Ta 2.46-2.47
S 0.0934 0.0000 0.0698 [2 per cell]  3 Ta 2.46-2.47
S 0.1422 0.0000 0.9131 [2 per cell]  3 Ta 2.44-2.47
S 0.1471 0.5000 0.4124 [2 per cell]  3 Ta 2.46-2.50
S 0.1482 0.0000 0.6817 [2 per cell]  3 Ta 2.48
S 0.1483 0.5000 0.1818 [2 per cell]  3 Ta 2.46-2.47
S 0.1984 0.5000 0.0236 [2 per cell]  3 Ta 2.46-2.47
S 0.1997 0.0000 0.5237 [2 per cell]  3 Ta 2.48
S 0.2005 0.5000 0.7925 [2 per cell]  3 Ta 2.45-2.50
S 0.2061 0.0000 0.2924 [2 per cell]  3 Ta 2.45-2.47
S 0.2543 0.0000 0.1359 [2 per cell]  3 Ta 2.47
S 0.2556 0.5000 0.6356 [2 per cell]  3 Ta 2.46-2.47
S 0.2568 0.0000 0.9013 [2 per cell]  1 Cu 2.33, 3 Ta 2.48-2.53
S 0.2639 0.5000 0.4035 [2 per cell]  5 Ta 2.55-2.58
S 0.3103 0.5000 0.2474 [2 per cell]  3 Ta 2.46-2.48
S 0.3105 0.0000 0.7461 [2 per cell]  3 Ta 2.47-2.48
S 0.3129 0.5000 0.0143 [2 per cell]  3 Cu 2.35, 3 Ta 2.51-2.52
S 0.3154 0.0000 0.5160 [2 per cell]  6 Ta 2.47-2.50
S 0.3629 0.0000 0.3603 [2 per cell]  4 Ta 2.51-2.57
S 0.3688 0.0000 0.1267 [2 per cell]  3 Cu 2.35-2.36, 3 Ta 2.51-2.52
S 0.3688 0.5000 0.8573 [2 per cell]  3 Ta 2.45-2.47
S 0.3754 0.5000 0.6263 [2 per cell]  6 Ta 2.57-2.65
S 0.4215 0.5000 0.4674 [2 per cell]  6 Ta 2.46-2.51
S 0.4236 0.0000 0.9661 [2 per cell]  1 Cu 2.23
S 0.4263 0.0000 0.7379 [2 per cell]  6 Ta 2.46-2.51
S 0.4257 0.5000 0.2409 [2 per cell]  2 Cu 2.35, 3 Ta 2.49-2.52
S 0.4725 0.0000 0.5790 [2 per cell]  6 Ta 2.57-2.65
S 0.4789 0.0000 0.3484 [2 per cell]  3 Ta 2.44-2.47
S 0.4796 0.5000 0.0789 [2 per cell]  1 Cu 2.21
S 0.4847 0.5000 0.8451 [2 per cell]  4 Ta 2.51-2.57



A geometry-optimized TaCuS2 structure, computed with PBE-GGA.

As for the formation energy: -4.057 eV per formula unit. Its total magnetization is 0.001 μB per cell. For the uncorrected energy, the calculation gives -6.820 eV per atom.

abc: 3.3711 3.3711 13.3313
angles: 90.00 90.00 120.00
Last column: nearest neighbours and their distance in Å.
Space group P6_3mc (No. 186)
Inequivalent atoms, fractional coordinates:
Ta 0.3333 0.6667 0.0000 [2 per cell]  6 S 2.49-2.52
Cu 0.3333 0.6667 0.2178 [2 per cell]  4 S 2.21-2.34
S 0.3333 0.6667 0.3838 [2 per cell]  1 Cu 2.21
S 0.3333 0.6667 0.6204 [2 per cell]  3 Cu 2.34, 3 Ta 2.52



A geometry-optimized Ta3Cu2S6 structure, computed with PBE-GGA.

As for the formation energy: -12.914 eV per formula unit. The energy above the lowest structure with this stoichiometry is 0.0000 eV/atom. For the uncorrected energy, the calculation gives -7.135 eV per atom.

abc: 3.3628 17.3894 13.2224
angles: 90.00 90.00 90.00
Last column: nearest neighbours and their distance in Å.
Space group Cmc2_1 (No. 36)
Inequivalent atoms, fractional coordinates:
Ta 0.0000 0.0559 0.0000 [4 per cell]  6 S 2.47-2.54
Ta 0.0000 0.2780 0.4979 [4 per cell]  6 S 2.45-2.54
Ta 0.0000 0.3907 0.9987 [4 per cell]  6 S 2.47-2.50
Cu 0.0000 0.0543 0.7864 [4 per cell]  4 S 2.23-2.32
Cu 0.0000 0.2784 0.7113 [4 per cell]  4 S 2.23-2.33
S 0.0000 0.0559 0.6179 [4 per cell]  1 Cu 2.23, 3 Ta 2.48-2.49
S 0.0000 0.0578 0.3796 [4 per cell]  1 Cu 2.31, 3 Ta 2.47-2.54
S 0.0000 0.2785 0.8803 [4 per cell]  1 Cu 2.23, 3 Ta 2.49-2.50
S 0.0000 0.2803 0.1174 [4 per cell]  2 Cu 2.33, 3 Ta 2.48-2.52
S 0.0000 0.3861 0.3789 [4 per cell]  2 Cu 2.32, 3 Ta 2.45-2.53
S 0.0000 0.3919 0.6188 [4 per cell]  1 Cu 2.32, 3 Ta 2.47-2.54



A geometry-optimized Ta14Cu3S24 structure, computed with PBE-GGA.

As for the formation energy: -53.498 eV per formula unit. For the uncorrected energy, the calculation gives -7.781 eV per atom.

abc: 6.6797 8.8165 13.0946
angles: 92.36 97.84 101.40
Last column: nearest neighbours and their distance in Å.
Space group P1 (No. 1)
Inequivalent atoms, fractional coordinates:
Ta 0.0000 0.0000 0.0000 [1 per cell]  6 S 2.46-2.51
Ta 0.0236 0.6106 0.5148 [1 per cell]  6 S 2.47-2.52
Ta 0.1571 0.6730 0.0039 [1 per cell]  6 S 2.46-2.56
Ta 0.1919 0.2796 0.5114 [1 per cell]  6 S 2.45-2.53
Ta 0.2808 0.3240 0.7593 [1 per cell]  6 S 2.45-2.58
Ta 0.3270 0.3351 0.0057 [1 per cell]  6 S 2.45-2.53
Ta 0.3632 0.9494 0.5160 [1 per cell]  6 S 2.46-2.51
Ta 0.4893 0.9955 0.0010 [1 per cell]  6 S 2.45-2.51
Ta 0.5266 0.6115 0.5116 [1 per cell]  6 S 2.45-2.52
Ta 0.5760 0.6227 0.7585 [1 per cell]  6 S 2.44-2.59
Ta 0.6630 0.6657 0.0060 [1 per cell]  6 S 2.46-2.52
Ta 0.6995 0.2749 0.5129 [1 per cell]  6 S 2.46-2.56
Ta 0.8347 0.3355 0.0021 [1 per cell]  6 S 2.47-2.51
Ta 0.8587 0.9479 0.5168 [1 per cell]  6 S 2.45-2.55
Cu 0.2244 0.6910 0.2224 [1 per cell]  4 S 2.23-2.34
Cu 0.6319 0.2579 0.2938 [1 per cell]  4 S 2.22-2.34
Cu 0.8007 0.9205 0.2943 [1 per cell]  4 S 2.22-2.33
S 0.0088 0.4036 0.6374 [1 per cell]  4 Ta 2.48-2.52
S 0.0194 0.2115 0.8774 [1 per cell]  4 Ta 2.50-2.57
S 0.0848 0.2345 0.1233 [1 per cell]  3 Ta 2.45-2.49
S 0.1081 0.0456 0.3929 [1 per cell]  1 Cu 2.32, 3 Ta 2.45-2.54
S 0.1753 0.0740 0.6384 [1 per cell]  4 Ta 2.50-2.58
S 0.1807 0.8753 0.8800 [1 per cell]  3 Ta 2.45-2.46
S 0.2547 0.9099 0.1265 [1 per cell]  1 Cu 2.34, 3 Ta 2.46-2.50
S 0.2689 0.7122 0.3944 [1 per cell]  1 Cu 2.23, 2 Ta 2.47-2.49
S 0.3390 0.5495 0.8830 [1 per cell]  5 Ta 2.44-2.53
S 0.3391 0.7354 0.6361 [1 per cell]  4 Ta 2.47-2.52
S 0.4222 0.5679 0.1264 [1 per cell]  1 Cu 2.33, 3 Ta 2.46-2.56
S 0.4330 0.3788 0.3910 [1 per cell]  1 Cu 2.33, 3 Ta 2.46-2.56
S 0.5168 0.2117 0.8816 [1 per cell]  4 Ta 2.47-2.53
S 0.5169 0.3972 0.6340 [1 per cell]  5 Ta 2.45-2.53
S 0.5867 0.2341 0.1222 [1 per cell]  1 Cu 2.22, 1 Ta 2.48
S 0.5957 0.0388 0.3897 [1 per cell]  2 Cu 2.33-2.34, 3 Ta 2.47-2.52
S 0.6750 0.0706 0.6358 [1 per cell]  3 Ta 2.45-2.46
S 0.6803 0.8722 0.8797 [1 per cell]  4 Ta 2.51-2.58
S 0.7538 0.9039 0.1226 [1 per cell]  1 Cu 2.22, 1 Ta 2.47
S 0.7696 0.7064 0.3926 [1 per cell]  1 Cu 2.32, 3 Ta 2.45-2.55
S 0.8367 0.7356 0.6385 [1 per cell]  4 Ta 2.50-2.59
S 0.8471 0.5430 0.8798 [1 per cell]  4 Ta 2.47-2.52
S 0.9133 0.5650 0.1263 [1 per cell]  1 Cu 2.32, 3 Ta 2.46-2.52
S 0.9432 0.3810 0.3906 [1 per cell]  1 Cu 2.32, 3 Ta 2.46-2.51



A geometry-optimized Ta3Cu2S6 structure, computed with PBE-GGA.

As for the formation energy: -11.968 eV per formula unit. Its total magnetization is 0.001 μB per cell. The energy above the lowest structure with this stoichiometry is 0.0860 eV/atom. For the uncorrected energy, the calculation gives -7.049 eV per atom.

abc: 3.3581 3.3581 41.7418
angles: 90.00 90.00 120.00
Last column: nearest neighbours and their distance in Å.
Space group P3m1 (No. 156)
Inequivalent atoms, fractional coordinates:
Ta 0.0000 0.0000 0.0000 [1 per cell]  6 S 2.47-2.49
Ta 0.0000 0.0000 0.3232 [1 per cell]  6 S 2.46-2.49
Ta 0.0000 0.0000 0.6564 [1 per cell]  6 S 2.46-2.49
Ta 0.3333 0.6667 0.1617 [1 per cell]  6 S 2.47-2.52
Ta 0.3333 0.6667 0.4950 [1 per cell]  6 S 2.47-2.52
Ta 0.3333 0.6667 0.8188 [1 per cell]  6 S 2.47-2.49
Cu 0.0000 0.0000 0.9295 [1 per cell]  3 S 2.38, 3 Cu 2.56
Cu 0.3333 0.6667 0.2327 [1 per cell]  4 S 2.21-2.37
Cu 0.3333 0.6667 0.5660 [1 per cell]  4 S 2.21-2.37
Cu 0.3333 0.6667 0.8893 [1 per cell]  3 S 2.38, 3 Cu 2.56
S 0.0000 0.0000 0.1251 [1 per cell]  3 Ta 2.47
S 0.0000 0.0000 0.2001 [1 per cell]  3 Cu 2.37, 3 Ta 2.52
S 0.0000 0.0000 0.4585 [1 per cell]  3 Ta 2.47
S 0.0000 0.0000 0.5334 [1 per cell]  3 Cu 2.37, 3 Ta 2.52
S 0.0000 0.0000 0.7820 [1 per cell]  3 Ta 2.47
S 0.0000 0.0000 0.8564 [1 per cell]  3 Cu 2.38, 3 Ta 2.49
S 0.3333 0.6667 0.0368 [1 per cell]  3 Ta 2.47
S 0.3333 0.6667 0.2857 [1 per cell]  1 Cu 2.21
S 0.3333 0.6667 0.3594 [1 per cell]  3 Ta 2.46
S 0.3333 0.6667 0.6189 [1 per cell]  1 Cu 2.21
S 0.3333 0.6667 0.6926 [1 per cell]  3 Ta 2.46
S 0.3333 0.6667 0.9624 [1 per cell]  3 Cu 2.38, 3 Ta 2.49



A geometry-optimized Ta8Cu3S24 structure, computed with PBE-GGA.

As for the formation energy: -39.035 eV per formula unit. For the uncorrected energy, the calculation gives -6.669 eV per atom.

abc: 9.6090 3.4298 21.7918
angles: 90.00 90.69 90.00
Last column: nearest neighbours and their distance in Å.
Space group Pm (No. 6)
Inequivalent atoms, fractional coordinates:
Ta 0.0000 0.0000 0.0000 [1 per cell]  5 S 2.30-2.55
Ta 0.1059 0.5000 0.3638 [1 per cell]  5 S 2.29-2.52
Ta 0.2213 0.5000 0.1395 [1 per cell]  8 S 2.52-2.62
Ta 0.3868 0.0000 0.6396 [1 per cell]  8 S 2.51-2.61
Ta 0.5001 0.0000 0.8639 [1 per cell]  5 S 2.30-2.55
Ta 0.6093 0.5000 0.4975 [1 per cell]  3 S 2.18-2.39
Ta 0.7209 0.5000 0.7238 [1 per cell]  8 S 2.52-2.64
Ta 0.8881 0.0000 0.2247 [1 per cell]  8 S 2.51-2.64
Cu 0.2348 0.0000 0.4503 [1 per cell]  4 S 2.30-2.31
Cu 0.3726 0.5000 0.9502 [1 per cell]  4 S 2.29-2.32
Cu 0.8727 0.5000 0.9137 [1 per cell]  4 S 2.29-2.30
S 0.0268 0.0000 0.8954 [1 per cell]  1 Ta 2.30, 2 Cu 2.30
S 0.0328 0.0000 0.1227 [1 per cell]  4 Ta 2.52-2.69
S 0.0770 0.5000 0.2395 [1 per cell]  4 Ta 2.51-2.72
S 0.0799 0.5000 0.4682 [1 per cell]  1 Ta 2.29, 2 Cu 2.31
S 0.1917 0.5000 0.0198 [1 per cell]  1 Cu 2.32, 2 Ta 2.55
S 0.2021 0.5000 0.6091 [1 per cell]  1 S 2.06
S 0.2507 0.5000 0.7014 [1 per cell]  1 S 2.06
S 0.2834 0.0000 0.3472 [1 per cell]  1 Cu 2.30, 2 Ta 2.45
S 0.3216 0.5000 0.8470 [1 per cell]  1 Cu 2.29, 2 Ta 2.45
S 0.3584 0.0000 0.2020 [1 per cell]  1 S 2.06
S 0.4049 0.0000 0.1099 [1 per cell]  1 S 2.06
S 0.4166 0.0000 0.5208 [1 per cell]  1 Cu 2.31, 2 Ta 2.58
S 0.5275 0.0000 0.9688 [1 per cell]  1 Ta 2.30, 2 Cu 2.30
S 0.5335 0.0000 0.7413 [1 per cell]  4 Ta 2.52-2.70
S 0.5735 0.5000 0.6243 [1 per cell]  4 Ta 2.51-2.79
S 0.5818 0.5000 0.3981 [1 per cell]  1 Ta 2.18
S 0.6911 0.5000 0.8439 [1 per cell]  1 Cu 2.30, 2 Ta 2.55
S 0.7039 0.5000 0.2550 [1 per cell]  1 S 2.07
S 0.7500 0.5000 0.1627 [1 per cell]  1 S 2.07
S 0.7776 0.0000 0.5176 [1 per cell]  2 Ta 2.39
S 0.8221 0.5000 0.0162 [1 per cell]  1 Cu 2.29, 2 Ta 2.45
S 0.8560 0.0000 0.6614 [1 per cell]  1 S 2.07
S 0.9048 0.0000 0.7543 [1 per cell]  1 S 2.07
S 0.9200 0.0000 0.3419 [1 per cell]  3 Ta 2.52-2.57



A geometry-optimized TaTlCu2S4 structure, computed with PBE-GGA.

As for the formation energy: -7.182 eV per formula unit. Its total magnetization is 0.006 μB per cell. For the uncorrected energy, the calculation gives -5.517 eV per atom.

abc: 7.5163 18.8274 5.5775
angles: 90.00 90.00 90.00
Last column: nearest neighbours and their distance in Å.
Space group Ama2 (No. 40)
Inequivalent atoms, fractional coordinates:
Ta 0.2500 0.1092 0.0000 [4 per cell]  4 S 2.29-2.33
Tl 0.2500 0.3185 0.3347 [4 per cell]  3 S 3.14-3.30
Cu 0.0000 0.0000 0.0164 [4 per cell]  4 S 2.34-2.35
Cu 0.2500 0.1049 0.5007 [4 per cell]  4 S 2.34-2.36
S 0.0017 0.1041 0.2439 [8 per cell]  1 Ta 2.31, 2 Cu 2.34-2.35
S 0.2500 0.0068 0.7637 [4 per cell]  1 Ta 2.33, 3 Cu 2.35-2.36
S 0.2500 0.2053 0.7488 [4 per cell]  1 Ta 2.29, 1 Cu 2.34



A geometry-optimized TbCu3S3 structure, computed with PBE-GGA.

As for the formation energy: -7.486 eV per formula unit. For the uncorrected energy, the calculation gives -5.045 eV per atom.

abc: 6.6901 6.6901 19.1469
angles: 90.00 90.00 120.00
Last column: nearest neighbours and their distance in Å.
Space group R-3 (No. 148, hexagonal axes)
Inequivalent atoms, fractional coordinates:
Tb 0.0000 0.0000 0.1665 [6 per cell]  6 S 2.75
Cu 0.9999 0.3382 0.3767 [18 per cell]  4 S 2.32-2.41
S 0.9999 0.3342 0.9175 [18 per cell]  4 Cu 2.32-2.41